Record 1
{
  "formula": "RbGa3",
  "functional": "PBE",
  "state": "optimized geometry",
  "delta_e_f_ev_per_atom": -0.17,
  "e_ij_max_c_m2": 0.25,
  "cell": [[-7.543, -0.771, 4.574], [-6.720, 5.387, -2.057], [5.615, -5.351, -4.272]],
  "species": ["Ga", "Rb", "Rb", "Ga", "Ga", "Ga", "Ga", "Ga", "Ga", "Ga", "Rb", "Ga"],
  "fractional_positions": [[0.085, 0.391, 0.694], [0.128, 0.628, 0.500], [0.372, 0.872, 0.500], [0.500, 0.500, 0.000], [0.016, 0.223, 0.793], [0.777, 0.984, 0.207], [0.609, 0.303, 0.694], [0.777, 0.569, 0.793], [0.431, 0.223, 0.207], [0.609, 0.915, 0.306], [0.000, 0.000, 0.000], [0.697, 0.391, 0.306]]
}



Record 2
{
  "formula": "ZnFe3C",
  "functional": "PBE",
  "state": "optimized geometry",
  "delta_e_f_ev_per_atom": 0.01,
  "magnetic_moment_mub_per_atom": 0.80,
  "cell": [[3.773, 0.000, 0.000], [0.000, 3.773, 0.000], [0.000, 0.000, 3.773]],
  "species": ["Fe", "Fe", "Fe", "Zn", "C"],
  "fractional_positions": [[0.500, 0.500, 0.000], [0.500, 0.000, 0.500], [0.000, 0.500, 0.500], [0.000, 0.000, 0.000], [0.500, 0.500, 0.500]]
}



Record 3
{
  "formula": "Si3Bi2O9",
  "functional": "PBE",
  "state": "optimized geometry",
  "delta_e_f_ev_per_atom": -2.71,
  "cell": [[3.449, -5.974, 0.000], [3.449, 5.974, 0.000], [0.000, 0.000, 9.755]],
  "species": ["Si", "O", "O", "O", "O", "O", "Si", "O", "O", "O", "O", "O", "O", "O", "Bi", "O", "Si", "O", "Si", "Si", "O", "Si", "Bi", "O", "O", "Bi", "O", "Bi"],
  "fractional_positions": [[0.939, 0.217, 0.250], [0.587, 0.928, 0.890], [0.341, 0.413, 0.610], [0.754, 0.947, 0.250], [0.053, 0.807, 0.250], [0.413, 0.072, 0.110], [0.217, 0.278, 0.750], [0.246, 0.053, 0.750], [0.928, 0.341, 0.390], [0.659, 0.587, 0.390], [0.947, 0.193, 0.750], [0.341, 0.413, 0.890], [0.413, 0.072, 0.390], [0.072, 0.659, 0.890], [0.333, 0.667, 0.021], [0.928, 0.341, 0.110], [0.722, 0.939, 0.750], [0.193, 0.246, 0.250], [0.278, 0.061, 0.250], [0.061, 0.783, 0.750], [0.587, 0.928, 0.610], [0.783, 0.722, 0.250], [0.667, 0.333, 0.979], [0.659, 0.587, 0.110], [0.072, 0.659, 0.610], [0.667, 0.333, 0.521], [0.807, 0.754, 0.750], [0.333, 0.667, 0.479]]
}



Record 4
{
  "formula": "Er2Ga9Ir3",
  "functional": "PBE",
  "state": "optimized geometry",
  "delta_e_f_ev_per_atom": -0.66,
  "cell": [[-4.185, 6.316, 0.242], [-2.811, -6.518, 2.662], [3.505, 1.993, 8.581]],
  "species": ["Ir", "Ga", "Ga", "Ir", "Ga", "Ga", "Ga", "Ir", "Ga", "Ga", "Ga", "Er", "Ga", "Ir", "Ga", "Er", "Ga", "Ga", "Ga", "Ir", "Ga", "Er", "Ir", "Ga", "Ga", "Er", "Ga", "Ga"],
  "fractional_positions": [[0.672, 0.328, 0.000], [0.667, 0.667, 0.564], [0.666, 0.001, 0.080], [0.328, 0.672, 0.500], [0.666, 0.001, 0.420], [0.999, 0.334, 0.580], [0.454, 0.661, 0.250], [0.672, 0.328, 0.500], [0.339, 0.546, 0.750], [0.333, 0.333, 0.064], [0.001, 0.666, 0.420], [0.997, 0.668, 0.750], [0.334, 0.999, 0.920], [0.328, 0.672, 0.000], [0.661, 0.454, 0.250], [0.332, 0.003, 0.250], [0.546, 0.339, 0.750], [0.999, 0.334, 0.920], [0.001, 0.666, 0.080], [0.000, 0.000, 0.500], [0.874, 0.874, 0.250], [0.003, 0.332, 0.250], [0.000, 0.000, 0.000], [0.667, 0.667, 0.936], [0.333, 0.333, 0.436], [0.668, 0.997, 0.750], [0.334, 0.999, 0.580], [0.126, 0.126, 0.750]]
}



Record 5
{
  "formula": "Nd2Mo15Se20",
  "functional": "PBE",
  "state": "optimized geometry",
  "delta_e_f_ev_per_atom": -0.93,
  "magnetic_moment_mub_per_atom": 0.00,
  "cell": [[-4.286, 5.050, 1.691], [14.525, -7.961, 66.084], [6.481, 3.781, 6.194]],
  "species": ["Mo", "Se", "Se", "Se", "Se", "Se", "Mo", "Se", "Mo", "Se", "Se", "Se", "Nd", "Se", "Mo", "Mo", "Mo", "Mo", "Se", "Mo", "Se", "Se", "Mo", "Se", "Se", "Mo", "Se", "Se", "Mo", "Mo", "Mo", "Se", "Se", "Mo", "Se", "Mo", "Se", "Se", "Se", "Mo", "Mo", "Se", "Mo", "Mo", "Se", "Mo", "Mo", "Nd", "Se", "Se", "Se", "Se", "Mo", "Se", "Mo", "Se", "Se", "Mo", "Se", "Se", "Se", "Se", "Se", "Mo", "Mo", "Nd", "Mo", "Se", "Se", "Mo", "Se", "Se", "Se", "Se", "Se", "Se", "Mo", "Se", "Se", "Nd", "Mo", "Se", "Mo", "Mo", "Mo", "Se", "Mo", "Se", "Se", "Se", "Se", "Mo", "Se", "Mo", "Mo", "Se", "Se", "Mo", "Mo", "Se", "Se", "Mo", "Mo", "Se", "Mo", "Nd", "Se", "Mo", "Se", "Mo", "Mo", "Se", "Se", "Mo", "Se", "Mo", "Mo", "Mo", "Mo", "Se", "Mo", "Se", "Nd", "Se", "Mo", "Mo", "Mo", "Se", "Se", "Mo", "Se", "Mo", "Se", "Nd", "Se", "Se", "Mo", "Mo", "Nd", "Se", "Se", "Mo", "Se", "Mo", "Se", "Se", "Se", "Se"],
  "fractional_positions": [[0.440, 0.519, 0.577], [0.878, 0.862, 0.625], [0.878, 0.962, 0.622], [0.251, 0.975, 0.877], [0.375, 0.737, 0.754], [0.755, 0.825, 0.122], [0.560, 0.481, 0.423], [0.122, 0.038, 0.378], [0.561, 0.081, 0.424], [0.236, 0.000, 0.237], [0.241, 0.700, 0.241], [0.244, 0.074, 0.878], [0.000, 0.900, 0.999], [0.755, 0.525, 0.122], [0.422, 0.933, 0.236], [0.576, 0.868, 0.763], [0.440, 0.319, 0.577], [0.765, 0.814, 0.439], [0.759, 0.900, 0.758], [0.560, 0.581, 0.423], [0.375, 0.337, 0.755], [0.624, 0.963, 0.250], [0.424, 0.832, 0.237], [0.759, 0.500, 0.759], [0.245, 0.375, 0.878], [0.765, 0.714, 0.439], [0.250, 0.175, 0.877], [0.756, 0.126, 0.122], [0.232, 0.086, 0.560], [0.765, 0.614, 0.439], [0.425, 0.232, 0.235], [0.624, 0.063, 0.245], [0.122, 0.438, 0.375], [0.440, 0.419, 0.577], [0.756, 0.925, 0.123], [0.562, 0.281, 0.425], [0.375, 0.837, 0.755], [0.878, 0.462, 0.625], [0.755, 0.325, 0.121], [0.576, 0.468, 0.763], [0.576, 0.568, 0.763], [0.122, 0.538, 0.375], [0.578, 0.267, 0.764], [0.235, 0.786, 0.561], [0.241, 0.600, 0.241], [0.233, 0.286, 0.561], [0.765, 0.414, 0.439], [0.000, 0.300, 0.001], [0.625, 0.863, 0.245], [0.122, 0.638, 0.375], [0.750, 0.025, 0.123], [0.764, 0.000, 0.763], [0.423, 0.133, 0.236], [0.755, 0.725, 0.122], [0.765, 0.014, 0.442], [0.625, 0.363, 0.245], [0.624, 0.263, 0.245], [0.575, 0.168, 0.765], [0.625, 0.763, 0.246], [0.759, 0.100, 0.758], [0.878, 0.362, 0.625], [0.755, 0.625, 0.122], [0.122, 0.838, 0.375], [0.235, 0.386, 0.561], [0.576, 0.668, 0.763], [0.000, 0.100, 0.000], [0.234, 0.887, 0.560], [0.376, 0.237, 0.750], [0.878, 0.562, 0.625], [0.424, 0.732, 0.237], [0.123, 0.137, 0.377], [0.759, 0.400, 0.759], [0.245, 0.875, 0.879], [0.375, 0.637, 0.754], [0.241, 0.900, 0.242], [0.877, 0.063, 0.623], [0.235, 0.486, 0.561], [0.375, 0.437, 0.754], [0.122, 0.937, 0.376], [0.000, 0.700, 0.000], [0.577, 0.067, 0.764], [0.376, 0.937, 0.755], [0.576, 0.368, 0.763], [0.557, 0.981, 0.421], [0.766, 0.313, 0.440], [0.878, 0.263, 0.624], [0.560, 0.681, 0.423], [0.241, 0.300, 0.242], [0.245, 0.675, 0.878], [0.622, 0.163, 0.250], [0.122, 0.238, 0.378], [0.424, 0.332, 0.237], [0.245, 0.575, 0.878], [0.575, 0.968, 0.765], [0.443, 0.019, 0.579], [0.378, 0.037, 0.750], [0.241, 0.800, 0.241], [0.557, 0.181, 0.421], [0.438, 0.919, 0.575], [0.625, 0.663, 0.246], [0.749, 0.225, 0.123], [0.235, 0.586, 0.561], [0.766, 0.214, 0.442], [0.878, 0.162, 0.622], [0.765, 0.514, 0.439], [0.000, 0.800, 0.999], [0.376, 0.137, 0.755], [0.424, 0.432, 0.236], [0.625, 0.463, 0.246], [0.560, 0.381, 0.423], [0.440, 0.619, 0.577], [0.759, 0.300, 0.758], [0.245, 0.775, 0.878], [0.560, 0.781, 0.423], [0.878, 0.662, 0.625], [0.235, 0.686, 0.561], [0.560, 0.881, 0.423], [0.440, 0.719, 0.577], [0.440, 0.819, 0.577], [0.759, 0.700, 0.759], [0.443, 0.219, 0.579], [0.244, 0.275, 0.877], [0.000, 0.600, 0.000], [0.236, 0.200, 0.237], [0.576, 0.768, 0.764], [0.424, 0.632, 0.237], [0.424, 0.532, 0.237], [0.375, 0.537, 0.754], [0.764, 0.200, 0.763], [0.425, 0.032, 0.235], [0.878, 0.762, 0.625], [0.234, 0.986, 0.558], [0.245, 0.475, 0.878], [0.000, 0.400, 0.001], [0.122, 0.738, 0.375], [0.759, 0.800, 0.759], [0.768, 0.114, 0.440], [0.235, 0.186, 0.558], [0.000, 0.500, 0.000], [0.241, 0.500, 0.241], [0.241, 0.100, 0.242], [0.767, 0.914, 0.439], [0.755, 0.425, 0.122], [0.439, 0.119, 0.576], [0.625, 0.563, 0.246], [0.759, 0.600, 0.759], [0.241, 0.400, 0.241], [0.122, 0.338, 0.375]]
}



Record 6
{
  "formula": "SrEu3",
  "functional": "PBE",
  "state": "optimized geometry",
  "delta_e_f_ev_per_atom": 0.04,
  "cell": [[0.000, 4.505, 4.505], [4.505, 0.000, 4.505], [4.505, 4.505, 0.000]],
  "species": ["Eu", "Sr", "Eu", "Eu"],
  "fractional_positions": [[0.250, 0.250, 0.250], [0.000, 0.000, 0.000], [0.500, 0.500, 0.500], [0.750, 0.750, 0.750]]
}



Record 7
{
  "formula": "NaSrTl2",
  "functional": "PBE",
  "state": "optimized geometry",
  "delta_e_f_ev_per_atom": -0.26,
  "magnetic_moment_mub_per_atom": 0.00,
  "cell": [[0.000, 3.984, 3.984], [3.984, 0.000, 3.984], [3.984, 3.984, 0.000]],
  "species": ["Na", "Tl", "Sr", "Tl"],
  "fractional_positions": [[0.250, 0.250, 0.250], [0.500, 0.500, 0.500], [0.750, 0.750, 0.750], [0.000, 0.000, 0.000]]
}



Record 8
{
  "formula": "CaCd4Tc4O12",
  "functional": "PBE",
  "state": "optimized geometry",
  "delta_e_f_ev_per_atom": -1.54,
  "de_polymorph_ev_per_atom": 0.031,
  "magnetic_moment_mub_per_atom": 0.00,
  "cell": [[5.463, 0.080, -0.188], [0.094, 5.590, -0.426], [-0.266, -0.538, 9.093]],
  "species": ["Cd", "Cd", "Tc", "Tc", "O", "Tc", "O", "O", "O", "O", "O", "O", "O", "O", "Ca", "Tc", "Cd", "O", "O", "O", "Cd"],
  "fractional_positions": [[0.146, 0.122, 0.156], [0.010, 0.981, 0.760], [0.965, 0.421, 0.563], [0.486, 0.943, 0.534], [0.870, 0.577, 0.767], [0.544, 0.036, 0.976], [0.768, 0.143, 0.504], [0.820, 0.864, 0.074], [0.222, 0.261, 0.906], [0.114, 0.520, 0.193], [0.690, 0.635, 0.479], [0.600, 0.043, 0.762], [0.387, 0.909, 0.320], [0.732, 0.345, 0.017], [0.987, 0.820, 0.372], [0.013, 0.553, 0.981], [0.526, 0.543, 0.212], [0.206, 0.729, 0.589], [0.309, 0.758, 0.952], [0.255, 0.220, 0.567], [0.472, 0.476, 0.760]]
}



Record 9
{
  "formula": "Ba5Er8Zn4O21",
  "functional": "PBE",
  "state": "optimized geometry",
  "delta_e_f_ev_per_atom": -3.27,
  "magnetic_moment_mub_per_atom": 0.00,
  "cell": [[9.775, 2.001, 2.000], [-9.753, 2.298, 1.777], [-0.193, -8.593, 5.447]],
  "species": ["O", "Ba", "Er", "O", "Zn", "O", "Er", "Zn", "Er", "O", "Er", "O", "O", "O", "Ba", "O", "Zn", "Ba", "O", "O", "Ba", "Ba", "O", "O", "O", "O", "O", "Er", "Er", "O", "O", "O", "O", "Zn", "Er", "O", "Er", "O"],
  "fractional_positions": [[0.007, 0.900, 0.405], [0.465, 0.140, 0.604], [0.642, 0.589, 0.230], [0.993, 0.100, 0.595], [0.041, 0.750, 0.791], [0.572, 0.797, 0.871], [0.358, 0.411, 0.770], [0.959, 0.250, 0.209], [0.589, 0.358, 0.947], [0.797, 0.927, 0.226], [0.168, 0.248, 0.416], [0.927, 0.701, 0.129], [0.701, 0.572, 0.774], [0.203, 0.073, 0.774], [0.140, 0.535, 0.675], [0.100, 0.506, 0.108], [0.250, 0.041, 0.291], [0.860, 0.465, 0.325], [0.371, 0.961, 0.332], [0.398, 0.993, 0.892], [0.535, 0.860, 0.396], [0.000, 0.000, 0.000], [0.039, 0.371, 0.410], [0.494, 0.602, 0.595], [0.073, 0.299, 0.871], [0.506, 0.398, 0.405], [0.299, 0.428, 0.226], [0.832, 0.752, 0.584], [0.411, 0.642, 0.053], [0.602, 0.007, 0.108], [0.961, 0.629, 0.590], [0.900, 0.494, 0.892], [0.629, 0.039, 0.668], [0.750, 0.959, 0.709], [0.752, 0.168, 0.921], [0.428, 0.203, 0.129], [0.248, 0.832, 0.079], [0.500, 0.500, 0.000]]
}



Record 10
{
  "formula": "LiNiH2",
  "functional": "PBE",
  "state": "optimized geometry",
  "delta_e_f_ev_per_atom": -0.31,
  "magnetic_moment_mub_per_atom": 0.00,
  "cell": [[-2.258, 1.511, 1.754], [-0.641, -2.762, 1.554], [1.903, 0.631, 1.906]],
  "species": ["H", "Li", "H", "Ni"],
  "fractional_positions": [[0.500, 0.000, 0.500], [0.000, 0.000, 0.000], [0.000, 0.500, 0.500], [0.500, 0.500, 0.500]]
}



Record 11
{
  "formula": "LiCu6OF11",
  "functional": "PBE",
  "state": "optimized geometry",
  "delta_e_f_ev_per_atom": -1.74,
  "de_polymorph_ev_per_atom": 0.059,
  "magnetic_moment_mub_per_atom": 0.01,
  "cell": [[2.797, -0.003, -4.610], [0.047, 4.629, 0.030], [7.908, 0.109, 4.824]],
  "species": ["F", "F", "F", "Cu", "F", "Cu", "Cu", "F", "F", "Cu", "F", "F", "F", "F", "Li", "F", "Cu", "O", "Cu"],
  "fractional_positions": [[0.446, 0.299, 0.745], [0.072, 0.806, 0.264], [0.370, 0.808, 0.589], [0.664, 0.003, 0.663], [0.109, 0.302, 0.419], [0.984, 0.006, 0.976], [0.158, 0.499, 0.659], [0.791, 0.293, 0.070], [0.875, 0.711, 0.581], [0.819, 0.537, 0.348], [0.694, 0.796, 0.904], [0.614, 0.237, 0.436], [0.291, 0.169, 0.059], [0.201, 0.681, 0.931], [0.326, 0.768, 0.123], [0.947, 0.206, 0.748], [0.520, 0.437, 0.956], [0.560, 0.753, 0.276], [0.345, 0.007, 0.362]]
}



Record 12
{
  "formula": "Mg5Si9",
  "functional": "PBE",
  "state": "optimized geometry",
  "delta_e_f_ev_per_atom": 0.20,
  "de_polymorph_ev_per_atom": 0.047,
  "magnetic_moment_mub_per_atom": 0.00,
  "cell": [[-4.174, -5.545, 2.118], [7.328, -1.789, -0.010], [0.474, 6.260, 8.434]],
  "species": ["Si", "Si", "Mg", "Mg", "Si", "Si", "Si", "Si", "Mg", "Si", "Mg", "Mg", "Si", "Si", "Mg", "Si", "Mg", "Si", "Mg", "Si", "Mg", "Si", "Si", "Mg", "Si", "Si", "Si", "Si"],
  "fractional_positions": [[0.445, 0.272, 0.067], [0.917, 0.637, 0.870], [0.694, 0.398, 0.335], [0.386, 0.295, 0.495], [0.699, 0.762, 0.218], [0.271, 0.721, 0.073], [0.835, 0.345, 0.629], [0.319, 0.946, 0.927], [0.786, 0.679, 0.578], [0.862, 0.872, 0.023], [0.013, 0.289, 0.950], [0.695, 0.088, 0.136], [0.465, 0.654, 0.368], [0.108, 0.381, 0.290], [0.161, 0.578, 0.545], [0.032, 0.802, 0.381], [0.886, 0.542, 0.118], [0.504, 0.592, 0.747], [0.557, 0.965, 0.589], [0.012, 0.965, 0.789], [0.581, 0.274, 0.815], [0.418, 0.529, 0.958], [0.334, 0.934, 0.295], [0.879, 0.095, 0.431], [0.190, 0.008, 0.614], [0.607, 0.932, 0.855], [0.180, 0.135, 0.175], [0.161, 0.312, 0.727]]
}